VASP calculation (PBE-GGA) on a geometry-optimized Ac3Sc structure.

Results
Energy, eV per atom: -4.555

a = 7.7253 Å, b = 7.7253 Å, c = 6.1543 Å
α = 90.00°, β = 90.00°, γ = 120.00°
Space group P6_3/mmc (No. 194)
One atom of each set of equivalent atoms:
1 Ac 0.1716 0.3433 0.2500 x6
2 Sc 0.3333 0.6667 0.7500 x2

=====

VASP calculation (PBE-GGA) on a geometry-optimized Th7Ni3 structure.

Results
Energy, eV per atom: -7.202

a = 9.8264 Å, b = 9.8264 Å, c = 6.2146 Å
α = 90.00°, β = 90.00°, γ = 120.00°
Space group P6_3mc (No. 186)
One atom of each set of equivalent atoms:
1 Th 0.0887 0.5443 0.0000 x6
2 Th 0.1270 0.2539 0.7024 x6
3 Th 0.3333 0.6667 0.5317 x2
4 Ni 0.1864 0.3729 0.2683 x6

=====

VASP calculation (PBE-GGA) on a geometry-optimized ZnCu2 structure.

Results
Energy, eV per atom: -3.186

a = 2.6375 Å, b = 2.6375 Å, c = 6.2605 Å
α = 90.00°, β = 90.00°, γ = 120.00°
Space group P-3m1 (No. 164)
One atom of each set of equivalent atoms:
1 Zn 0.0000 0.0000 0.0000 x1
2 Cu 0.3333 0.6667 0.6630 x2